Computed, not measured: crystalline AgSbC6N4O2F6 at its relaxed geometry at the PBE-GGA level of DFT.

Geometry as CIF:
```
data_AgSbC6N4O2F6
_symmetry_space_group_name_H-M 'P 1'
_symmetry_Int_Tables_number 1
_symmetry_space_group_name_Hall 'P 1'
_cell_length_a 7.909
_cell_length_b 7.909
_cell_length_c 10.689
_cell_angle_alpha 90.19
_cell_angle_beta 90.19
_cell_angle_gamma 81.67
loop_
_atom_site_label
_atom_site_fract_x
_atom_site_fract_y
_atom_site_fract_z
Ag1 0.197 0.803 0.750
Ag2 0.803 0.197 0.250
Sb1 0.202 0.798 0.250
Sb2 0.798 0.202 0.750
C1 0.135 0.293 0.430
C2 0.274 0.447 0.942
C3 0.284 0.316 0.508
C4 0.293 0.135 0.930
C5 0.316 0.284 0.008
C6 0.447 0.274 0.442
C7 0.553 0.726 0.558
C8 0.684 0.716 0.992
C9 0.707 0.865 0.070
C10 0.716 0.684 0.492
C11 0.726 0.553 0.058
C12 0.865 0.707 0.570
N1 0.021 0.272 0.367
N2 0.244 0.576 0.889
N3 0.272 0.021 0.867
N4 0.424 0.756 0.611
N5 0.576 0.244 0.389
N6 0.728 0.979 0.133
N7 0.756 0.424 0.111
N8 0.979 0.728 0.633
O1 0.274 0.364 0.616
O2 0.364 0.274 0.116
O3 0.636 0.726 0.884
O4 0.726 0.636 0.384
F1 0.009 0.869 0.355
F2 0.068 0.662 0.152
F3 0.131 0.991 0.145
F4 0.272 0.605 0.357
F5 0.338 0.932 0.348
F6 0.395 0.728 0.143
F7 0.605 0.272 0.857
F8 0.662 0.068 0.652
F9 0.728 0.395 0.643
F10 0.869 0.009 0.855
F11 0.932 0.338 0.848
F12 0.991 0.131 0.645
```

Properties
- formation energy from the elements (meV per atom) = -857
- crystal system = monoclinic
- DFT total energy (eV/atom) = -6.503
- space-group type = C2/c (15)

Computed, not measured: crystalline Zr2Al4C5 at its relaxed geometry at the PBE-GGA level of DFT.

Geometry as CIF:
```
data_Zr2Al4C5
_symmetry_space_group_name_H-M 'P 1'
_symmetry_Int_Tables_number 1
_symmetry_space_group_name_Hall 'P 1'
_cell_length_a 13.874
_cell_length_b 13.874
_cell_length_c 13.874
_cell_angle_alpha 13.90
_cell_angle_beta 13.90
_cell_angle_gamma 13.90
loop_
_atom_site_label
_atom_site_fract_x
_atom_site_fract_y
_atom_site_fract_z
Zr1 0.134 0.134 0.134
Zr2 0.866 0.866 0.866
Al1 0.310 0.310 0.310
Al2 0.411 0.411 0.411
Al3 0.589 0.589 0.589
Al4 0.690 0.690 0.690
C1 0.234 0.234 0.234
C2 0.364 0.364 0.364
C3 0.500 0.500 0.500
C4 0.636 0.636 0.636
C5 0.766 0.766 0.766
```

Properties
- formation energy from the elements (meV per atom) = -347
- crystal system = trigonal
- DFT total energy (eV/atom) = -7.458
- space-group type = R-3m (166)